[1]
The following is a DFT calculation (PBE) of a relaxed LuGePd crystal.

Results
DFT total energy: -17.22 eV/f.u.
Magnetization: 0.00 μB/f.u.
V: 19.08 Å³ per atom

Lattice parameters (Å, degrees): 11.224 11.224 11.224 157.55 46.02 140.37
Element x y z (fractional)
Lu 0.000 0.000 0.000
Lu 0.243 0.076 0.167
Lu 0.331 0.998 0.333
Lu 0.583 0.083 0.500
Lu 0.666 0.998 0.667
Lu 0.910 0.076 0.833
Ge 0.317 0.383 0.934
Ge 0.448 0.383 0.066
Ge 0.456 0.693 0.763
Ge 0.788 0.380 0.408
Ge 0.930 0.693 0.237
Ge 0.972 0.380 0.592
Pd 0.098 0.366 0.732
Pd 0.140 0.713 0.427
Pd 0.285 0.713 0.573
Pd 0.604 0.709 0.895
Pd 0.634 0.366 0.268
Pd 0.814 0.709 0.105

***

[2]
The following is a DFT calculation (PBE) of a relaxed CrFeB2 crystal.

Results
DFT total energy: -33.14 eV/f.u.
Magnetization: 2.11 μB/f.u.
V: 8.29 Å³ per atom

Lattice parameters (Å, degrees): 2.938 4.113 5.491 90.00 90.00 90.00
Element x y z (fractional)
Cr 0.000 0.126 0.000
Cr 0.000 0.874 0.500
Fe 0.500 0.364 0.641
Fe 0.500 0.636 0.141
B 0.000 0.372 0.355
B 0.000 0.628 0.855
B 0.500 0.144 0.285
B 0.500 0.856 0.785

***

[3]
The following is a DFT calculation (PBE) of a relaxed Ca8Si5O18 crystal.

Results
DFT total energy: -227.34 eV/f.u.
Magnetization: 0.11 μB/f.u.
V: 13.82 Å³ per atom

Lattice parameters (Å, degrees): 5.139 11.522 28.941 90.00 90.00 90.00
Element x y z (fractional)
Ca 0.000 0.000 0.000
Ca 0.000 0.000 0.500
Ca 0.000 0.014 0.250
Ca 0.000 0.986 0.750
Ca 0.002 0.283 0.558
Ca 0.002 0.717 0.058
Ca 0.006 0.010 0.878
Ca 0.006 0.990 0.378
Ca 0.007 0.285 0.331
Ca 0.007 0.715 0.831
Ca 0.493 0.215 0.831
Ca 0.493 0.785 0.331
Ca 0.494 0.490 0.378
Ca 0.494 0.510 0.878
Ca 0.498 0.217 0.058
Ca 0.498 0.783 0.558
Ca 0.500 0.486 0.750
Ca 0.500 0.500 0.000
Ca 0.500 0.500 0.500
Ca 0.500 0.514 0.250
Ca 0.502 0.217 0.442
Ca 0.502 0.783 0.942
Ca 0.506 0.490 0.122
Ca 0.506 0.510 0.622
Ca 0.507 0.215 0.669
Ca 0.507 0.785 0.169
Ca 0.993 0.285 0.169
Ca 0.993 0.715 0.669
Ca 0.994 0.010 0.622
Ca 0.994 0.990 0.122
Ca 0.998 0.283 0.942
Ca 0.998 0.717 0.442
Si 0.000 0.238 0.750
Si 0.000 0.762 0.250
Si 0.060 0.405 0.673
Si 0.060 0.595 0.173
Si 0.072 0.405 0.442
Si 0.072 0.595 0.942
Si 0.428 0.095 0.942
Si 0.428 0.905 0.442
Si 0.440 0.095 0.173
Si 0.440 0.905 0.673
Si 0.500 0.262 0.250
Si 0.500 0.738 0.750
Si 0.560 0.095 0.327
Si 0.560 0.905 0.827
Si 0.572 0.095 0.558
Si 0.572 0.905 0.058
Si 0.928 0.405 0.058
Si 0.928 0.595 0.558
Si 0.940 0.405 0.827
Si 0.940 0.595 0.327
O 0.177 0.157 0.783
O 0.177 0.843 0.283
O 0.189 0.328 0.719
O 0.189 0.672 0.219
O 0.192 0.467 0.180
O 0.192 0.533 0.680
O 0.200 0.343 0.628
O 0.200 0.657 0.128
O 0.202 0.342 0.489
O 0.202 0.658 0.989
O 0.204 0.336 0.398
O 0.204 0.664 0.898
O 0.206 0.463 0.940
O 0.206 0.537 0.440
O 0.244 0.099 0.324
O 0.244 0.901 0.824
O 0.248 0.405 0.059
O 0.248 0.595 0.559
O 0.252 0.095 0.559
O 0.252 0.905 0.059
O 0.256 0.401 0.824
O 0.256 0.599 0.324
O 0.294 0.037 0.440
O 0.294 0.963 0.940
O 0.296 0.164 0.898
O 0.296 0.836 0.398
O 0.298 0.158 0.989
O 0.298 0.842 0.489
O 0.300 0.157 0.128
O 0.300 0.843 0.628
O 0.308 0.033 0.680
O 0.308 0.967 0.180
O 0.311 0.172 0.219
O 0.311 0.828 0.719
O 0.323 0.343 0.283
O 0.323 0.657 0.783
O 0.677 0.343 0.217
O 0.677 0.657 0.717
O 0.689 0.172 0.281
O 0.689 0.828 0.781
O 0.692 0.033 0.820
O 0.692 0.967 0.320
O 0.700 0.157 0.372
O 0.700 0.843 0.872
O 0.702 0.158 0.511
O 0.702 0.842 0.011
O 0.704 0.164 0.602
O 0.704 0.836 0.102
O 0.706 0.037 0.060
O 0.706 0.963 0.560
O 0.744 0.401 0.676
O 0.744 0.599 0.176
O 0.748 0.095 0.941
O 0.748 0.905 0.441
O 0.752 0.405 0.441
O 0.752 0.595 0.941
O 0.756 0.099 0.176
O 0.756 0.901 0.676
O 0.794 0.463 0.560
O 0.794 0.537 0.060
O 0.796 0.336 0.102
O 0.796 0.664 0.602
O 0.798 0.342 0.011
O 0.798 0.658 0.511
O 0.800 0.343 0.872
O 0.800 0.657 0.372
O 0.808 0.467 0.320
O 0.808 0.533 0.820
O 0.811 0.328 0.781
O 0.811 0.672 0.281
O 0.823 0.157 0.717
O 0.823 0.843 0.217

***

[4]
The following is a DFT calculation (PBE) of a relaxed CsRb2LuCl6 crystal.

Results
DFT total energy: -39.09 eV/f.u.
Magnetization: 0.01 μB/f.u.
V: 39.82 Å³ per atom

Lattice parameters (Å, degrees): 8.258 8.258 8.258 60.00 60.00 60.00
Element x y z (fractional)
Cs 0.000 0.000 0.000
Rb 0.250 0.250 0.250
Rb 0.750 0.750 0.750
Lu 0.500 0.500 0.500
Cl 0.279 0.279 0.721
Cl 0.279 0.721 0.279
Cl 0.279 0.721 0.721
Cl 0.721 0.279 0.279
Cl 0.721 0.279 0.721
Cl 0.721 0.721 0.279

***

[5]
The following is a DFT calculation (PBE) of a relaxed Ho2Ti3Si4 crystal.

Results
DFT total energy: -61.87 eV/f.u.
V: 17.82 Å³ per atom

Lattice parameters (Å, degrees): 7.040 7.040 12.944 90.00 90.00 90.00
Element x y z (fractional)
Ho 0.003 0.341 0.034
Ho 0.159 0.503 0.284
Ho 0.341 0.003 0.966
Ho 0.497 0.841 0.216
Ho 0.503 0.159 0.716
Ho 0.659 0.997 0.466
Ho 0.841 0.497 0.784
Ho 0.997 0.659 0.534
Ti 0.008 0.151 0.624
Ti 0.151 0.008 0.376
Ti 0.173 0.827 0.750
Ti 0.327 0.327 0.500
Ti 0.349 0.508 0.874
Ti 0.492 0.651 0.626
Ti 0.508 0.349 0.126
Ti 0.651 0.492 0.374
Ti 0.673 0.673 0.000
Ti 0.827 0.173 0.250
Ti 0.849 0.992 0.876
Ti 0.992 0.849 0.124
Si 0.047 0.709 0.935
Si 0.132 0.203 0.816
Si 0.203 0.132 0.184
Si 0.209 0.453 0.685
Si 0.291 0.953 0.565
Si 0.297 0.632 0.066
Si 0.368 0.703 0.434
Si 0.453 0.209 0.315
Si 0.547 0.791 0.815
Si 0.632 0.297 0.934
Si 0.703 0.368 0.566
Si 0.709 0.047 0.065
Si 0.791 0.547 0.185
Si 0.797 0.868 0.684
Si 0.868 0.797 0.316
Si 0.953 0.291 0.435

***

[6]
The following is a DFT calculation (PBE) of a relaxed Ba2PrCu3O6 crystal.

Results
DFT total energy: -72.88 eV/f.u.
Magnetization: 0.01 μB/f.u.
V: 15.74 Å³ per atom

Lattice parameters (Å, degrees): 3.928 3.928 12.239 90.00 90.00 90.00
Element x y z (fractional)
Ba 0.000 0.000 0.195
Ba 0.000 0.000 0.805
Pr 0.000 0.000 0.500
Cu 0.500 0.500 0.000
Cu 0.500 0.500 0.361
Cu 0.500 0.500 0.639
O 0.000 0.500 0.373
O 0.000 0.500 0.627
O 0.500 0.000 0.373
O 0.500 0.000 0.627
O 0.500 0.500 0.148
O 0.500 0.500 0.852

***

[7]
The following is a DFT calculation (PBE) of a relaxed KMg6TiO8 crystal.

Results
DFT total energy: -95.46 eV/f.u.
Magnetization: 1.00 μB/f.u.
V: 10.72 Å³ per atom

Lattice parameters (Å, degrees): 4.414 4.414 8.801 90.00 90.00 90.00
Element x y z (fractional)
K 0.000 0.000 0.000
Mg 0.000 0.000 0.500
Mg 0.000 0.500 0.257
Mg 0.000 0.500 0.743
Mg 0.500 0.000 0.257
Mg 0.500 0.000 0.743
Mg 0.500 0.500 0.500
Ti 0.500 0.500 0.000
O 0.000 0.000 0.276
O 0.000 0.000 0.724
O 0.000 0.500 0.000
O 0.000 0.500 0.500
O 0.500 0.000 0.000
O 0.500 0.000 0.500
O 0.500 0.500 0.243
O 0.500 0.500 0.757

***

[8]
The following is a DFT calculation (PBE) of a relaxed Ba6MgSc2C2O6F14 crystal.

Results
Excess energy over the best structure of this formula in the dataset: 112 meV/atom
Magnetization: 0.00 μB/f.u.
V: 17.01 Å³ per atom

Lattice parameters (Å, degrees): 9.119 9.119 6.388 92.46 92.46 83.95
Element x y z (fractional)
Ba 0.000 0.000 0.000
Ba 0.058 0.551 0.952
Ba 0.321 0.776 0.459
Ba 0.551 0.058 0.952
Ba 0.776 0.321 0.459
Ba 0.825 0.825 0.471
Mg 0.181 0.181 0.635
Sc 0.245 0.245 0.190
Sc 0.646 0.646 0.945
C 0.423 0.423 0.363
C 0.450 0.450 0.910
O 0.283 0.467 0.319
O 0.355 0.355 0.908
O 0.410 0.592 0.912
O 0.467 0.283 0.319
O 0.511 0.511 0.444
O 0.592 0.410 0.912
F 0.023 0.293 0.171
F 0.027 0.347 0.663
F 0.046 0.046 0.496
F 0.070 0.768 0.234
F 0.081 0.771 0.717
F 0.293 0.023 0.171
F 0.347 0.027 0.663
F 0.563 0.795 0.180
F 0.571 0.796 0.715
F 0.768 0.070 0.234
F 0.771 0.081 0.717
F 0.795 0.563 0.180
F 0.796 0.571 0.715
F 0.805 0.805 0.963

***

[9]
The following is a DFT calculation (PBE) of a relaxed AcAgHg2 crystal.

Results
DFT total energy: -8.88 eV/f.u.
Magnetization: 0.00 μB/f.u.
V: 26.94 Å³ per atom

Lattice parameters (Å, degrees): 5.342 5.342 5.342 60.00 60.00 60.00
Element x y z (fractional)
Ac 0.000 0.000 0.000
Ag 0.500 0.500 0.500
Hg 0.250 0.250 0.250
Hg 0.750 0.750 0.750

***

[10]
The following is a DFT calculation (PBE) of a relaxed Zn2SnSbO6 crystal.

Results
DFT total energy: -53.90 eV/f.u.
Magnetization: 0.00 μB/f.u.
V: 11.89 Å³ per atom

Lattice parameters (Å, degrees): 5.425 8.079 5.427 90.00 90.12 90.00
Element x y z (fractional)
Zn 0.023 0.250 0.491
Zn 0.472 0.750 0.988
Zn 0.528 0.250 0.012
Zn 0.977 0.750 0.509
Sn 0.000 0.000 0.000
Sn 0.000 0.500 0.000
Sb 0.500 0.000 0.500
Sb 0.500 0.500 0.500
O 0.099 0.750 0.871
O 0.169 0.572 0.332
O 0.169 0.928 0.332
O 0.329 0.072 0.836
O 0.329 0.428 0.836
O 0.407 0.250 0.381
O 0.593 0.750 0.619
O 0.671 0.572 0.164
O 0.671 0.928 0.164
O 0.831 0.072 0.668
O 0.831 0.428 0.668
O 0.901 0.250 0.129

***

[11]
The following is a DFT calculation (PBE) of a relaxed CeSnPt crystal.

Results
DFT total energy: -18.96 eV/f.u.
Magnetization: 0.99 μB/f.u.
V: 23.17 Å³ per atom

Lattice parameters (Å, degrees): 7.595 7.595 4.174 90.00 90.00 120.00
Element x y z (fractional)
Ce 0.000 0.588 0.000
Ce 0.412 0.412 0.000
Ce 0.588 0.000 0.000
Sn 0.000 0.252 0.500
Sn 0.252 0.000 0.500
Sn 0.748 0.748 0.500
Pt 0.000 0.000 0.000
Pt 0.333 0.667 0.500
Pt 0.667 0.333 0.500

***

[12]
The following is a DFT calculation (PBE) of a relaxed Mn crystal.

Results
Excess energy over the best structure of this formula in the dataset: 658 meV/atom
Magnetization: 1.64 μB/f.u.
V: 11.92 Å³ per atom

Lattice parameters (Å, degrees): 3.329 3.329 3.329 98.14 98.14 135.80
Element x y z (fractional)
Mn 0.375 0.625 0.750
Mn 0.625 0.375 0.250